(1)
Li2VO2F: optimized geometry, PBE with a Hubbard U.

Values from the calculation:
Formation enthalpy at 0 K (eV/atom): -2.612
Calculated total energy (eV/f.u.): -36.85
Relative energy among the computed polymorphs (meV/atom): 101.2
Total magnetization (μB per cell): 8.0

Lattice parameters (Å, degrees): 7.913 7.913 10.388 108.00 108.00 22.00
Fractional coordinates of all 24 atoms:
1 Li 0.000 0.000 0.000
2 Li 0.001 0.001 0.500
3 Li 0.130 0.130 0.696
4 Li 0.151 0.151 0.233
5 Li 0.490 0.490 0.241
6 Li 0.497 0.497 0.717
7 Li 0.635 0.635 0.477
8 Li 0.645 0.645 0.972
9 V 0.318 0.318 0.984
10 V 0.319 0.319 0.476
11 V 0.806 0.806 0.713
12 V 0.818 0.818 0.229
13 O 0.241 0.241 0.107
14 O 0.241 0.241 0.605
15 O 0.392 0.392 0.343
16 O 0.568 0.568 0.601
17 O 0.743 0.743 0.357
18 O 0.753 0.753 0.865
19 O 0.889 0.889 0.602
20 O 0.897 0.897 0.097
21 F 0.066 0.066 0.865
22 F 0.068 0.068 0.342
23 F 0.397 0.397 0.846
24 F 0.568 0.568 0.104

(2)
Li3V2O4F2: optimized geometry, PBE with a Hubbard U.

Values from the calculation:
Formation enthalpy at 0 K (eV/atom): -2.667
Calculated total energy (eV/f.u.): -69.78
Relative energy among the computed polymorphs (meV/atom): 33.1
Total magnetization (μB per cell): 12.0

Lattice parameters (Å, degrees): 5.223 5.971 14.942 91.13 90.73 91.73
Fractional coordinates of all 44 atoms:
1 Li 0.000 0.000 0.000
2 Li 0.000 0.486 0.497
3 Li 0.005 0.971 0.497
4 Li 0.169 0.731 0.865
5 Li 0.178 0.226 0.870
6 Li 0.304 0.472 0.118
7 Li 0.373 0.986 0.137
8 Li 0.509 0.230 0.496
9 Li 0.537 0.738 0.984
10 Li 0.556 0.220 0.000
11 Li 0.709 0.471 0.864
12 Li 0.838 0.707 0.124
13 V 0.176 0.227 0.326
14 V 0.185 0.728 0.336
15 V 0.343 0.978 0.659
16 V 0.351 0.478 0.659
17 V 0.672 0.972 0.334
18 V 0.682 0.475 0.330
19 V 0.843 0.227 0.667
20 V 0.845 0.729 0.662
21 O 0.012 0.984 0.270
22 O 0.015 0.476 0.266
23 O 0.018 0.464 0.728
24 O 0.019 0.982 0.728
25 O 0.163 0.722 0.588
26 O 0.180 0.237 0.586
27 O 0.337 0.461 0.402
28 O 0.351 0.994 0.405
29 O 0.501 0.713 0.723
30 O 0.503 0.213 0.265
31 O 0.514 0.237 0.726
32 O 0.527 0.742 0.265
33 O 0.678 0.463 0.590
34 O 0.693 0.998 0.590
35 O 0.842 0.219 0.405
36 O 0.852 0.730 0.405
37 F 0.174 0.744 0.094
38 F 0.211 0.202 0.076
39 F 0.327 0.976 0.922
40 F 0.370 0.487 0.900
41 F 0.628 0.494 0.072
42 F 0.680 0.959 0.073
43 F 0.848 0.225 0.914
44 F 0.849 0.732 0.912

(3)
LiVOF3: optimized geometry, PBE with a Hubbard U.

Values from the calculation:
Formation enthalpy at 0 K (eV/atom): -2.905
Calculated total energy (eV/f.u.): -35.34
Relative energy among the computed polymorphs (meV/atom): 72.1
Total magnetization (μB per cell): 4.0

Lattice parameters (Å, degrees): 5.265 7.846 9.168 90.00 107.07 90.00
Fractional coordinates of all 24 atoms:
1 Li 0.160 0.041 0.137
2 Li 0.160 0.459 0.637
3 Li 0.840 0.541 0.363
4 Li 0.840 0.959 0.863
5 V 0.376 0.659 0.952
6 V 0.376 0.841 0.452
7 V 0.624 0.159 0.548
8 V 0.624 0.341 0.048
9 O 0.450 0.549 0.121
10 O 0.450 0.951 0.621
11 O 0.550 0.049 0.379
12 O 0.550 0.451 0.879
13 F 0.082 0.604 0.788
14 F 0.082 0.896 0.288
15 F 0.194 0.639 0.488
16 F 0.194 0.861 0.988
17 F 0.349 0.213 0.074
18 F 0.349 0.287 0.574
19 F 0.651 0.713 0.426
20 F 0.651 0.787 0.926
21 F 0.806 0.139 0.012
22 F 0.806 0.361 0.512
23 F 0.918 0.104 0.712
24 F 0.918 0.396 0.212

(4)
Li3V2O4F2: optimized geometry, PBE with a Hubbard U.

Values from the calculation:
Formation enthalpy at 0 K (eV/atom): -2.686
Calculated total energy (eV/f.u.): -69.99
Relative energy among the computed polymorphs (meV/atom): 14.2
Total magnetization (μB per cell): 9.0

Lattice parameters (Å, degrees): 5.937 7.871 7.908 86.00 68.70 79.73
Fractional coordinates of all 33 atoms:
1 Li 0.000 0.000 0.000
2 Li 0.059 0.145 0.280
3 Li 0.151 0.365 0.002
4 Li 0.243 0.465 0.276
5 Li 0.422 0.778 0.267
6 Li 0.489 0.017 0.012
7 Li 0.660 0.342 0.032
8 Li 0.825 0.652 0.007
9 Li 0.920 0.780 0.272
10 V 0.117 0.231 0.641
11 V 0.284 0.571 0.642
12 V 0.457 0.901 0.637
13 V 0.626 0.230 0.627
14 V 0.780 0.567 0.641
15 V 0.957 0.898 0.637
16 O 0.072 0.667 0.493
17 O 0.165 0.793 0.779
18 O 0.246 0.014 0.499
19 O 0.331 0.109 0.784
20 O 0.386 0.343 0.510
21 O 0.511 0.454 0.772
22 O 0.582 0.695 0.494
23 O 0.664 0.787 0.777
24 O 0.751 0.007 0.494
25 O 0.834 0.129 0.784
26 O 0.925 0.344 0.495
27 O 0.981 0.456 0.789
28 F 0.038 0.569 0.139
29 F 0.193 0.917 0.161
30 F 0.360 0.245 0.127
31 F 0.533 0.562 0.145
32 F 0.717 0.880 0.119
33 F 0.908 0.222 0.107

(5)
Li2VO2F: optimized geometry, PBE with a Hubbard U.

Values from the calculation:
Formation enthalpy at 0 K (eV/atom): -2.665
Calculated total energy (eV/f.u.): -37.16
Relative energy among the computed polymorphs (meV/atom): 48.1
Total magnetization (μB per cell): 0.0

Lattice parameters (Å, degrees): 2.947 11.928 6.658 77.12 77.22 90.00
Fractional coordinates of all 24 atoms:
1 F 0.167 0.542 0.667
2 F 0.167 0.042 0.667
3 F 0.167 0.792 0.667
4 F 0.167 0.292 0.667
5 V 0.337 0.088 0.326
6 V 0.996 0.496 0.007
7 V 0.337 0.588 0.326
8 V 0.996 0.996 0.007
9 Li 0.666 0.679 0.667
10 Li 0.667 0.405 0.666
11 Li 0.000 0.756 0.000
12 Li 0.333 0.828 0.333
13 Li 0.333 0.327 0.333
14 Li 0.667 0.179 0.667
15 Li 0.000 0.256 0.000
16 Li 0.667 0.905 0.666
17 O 0.830 0.198 0.341
18 O 0.504 0.885 0.992
19 O 0.833 0.966 0.334
20 O 0.833 0.466 0.334
21 O 0.830 0.698 0.341
22 O 0.504 0.385 0.992
23 O 0.500 0.117 0.999
24 O 0.500 0.617 0.999

(6)
LiVOF2: optimized geometry, PBE with a Hubbard U.

Values from the calculation:
Formation enthalpy at 0 K (eV/atom): -2.965
Calculated total energy (eV/f.u.): -31.28
Relative energy among the computed polymorphs (meV/atom): 0.0
Total magnetization (μB per cell): 8.0

Lattice parameters (Å, degrees): 6.623 6.623 5.340 96.15 96.15 84.92
Fractional coordinates of all 20 atoms:
1 Li 0.103 0.281 0.320
2 Li 0.281 0.103 0.820
3 Li 0.719 0.897 0.180
4 Li 0.897 0.719 0.680
5 V 0.244 0.756 0.250
6 V 0.422 0.578 0.750
7 V 0.578 0.422 0.250
8 V 0.756 0.244 0.750
9 O 0.305 0.487 0.391
10 O 0.487 0.305 0.891
11 O 0.513 0.695 0.109
12 O 0.695 0.513 0.609
13 F 0.035 0.210 0.638
14 F 0.139 0.638 0.889
15 F 0.210 0.035 0.138
16 F 0.362 0.861 0.611
17 F 0.638 0.139 0.389
18 F 0.790 0.965 0.862
19 F 0.861 0.362 0.111
20 F 0.965 0.790 0.362

(7)
LiVOF4: optimized geometry, PBE with a Hubbard U.

Values from the calculation:
Formation enthalpy at 0 K (eV/atom): -2.844
Calculated total energy (eV/f.u.): -39.27
Relative energy among the computed polymorphs (meV/atom): 0.0
Total magnetization (μB per cell): 0.0

Lattice parameters (Å, degrees): 5.038 7.823 10.204 111.91 90.59 91.81
Fractional coordinates of all 28 atoms:
1 Li 0.000 0.000 0.000
2 Li 0.043 0.506 0.948
3 Li 0.448 0.524 0.436
4 Li 0.532 0.001 0.499
5 V 0.035 0.916 0.638
6 V 0.519 0.335 0.127
7 V 0.547 0.820 0.132
8 V 0.977 0.413 0.632
9 O 0.177 0.104 0.635
10 O 0.659 0.623 0.124
11 O 0.771 0.249 0.028
12 O 0.853 0.594 0.618
13 F 0.142 0.912 0.809
14 F 0.213 0.759 0.045
15 F 0.228 0.352 0.494
16 F 0.248 0.506 0.761
17 F 0.289 0.504 0.258
18 F 0.296 0.357 0.990
19 F 0.303 0.759 0.548
20 F 0.341 0.126 0.125
21 F 0.384 0.911 0.302
22 F 0.666 0.833 0.966
23 F 0.713 0.392 0.292
24 F 0.718 0.993 0.715
25 F 0.750 0.226 0.522
26 F 0.804 0.396 0.787
27 F 0.813 0.988 0.211
28 F 0.843 0.831 0.469

(8)
Li3V2O4F2: optimized geometry, PBE with a Hubbard U.

Values from the calculation:
Formation enthalpy at 0 K (eV/atom): -2.685
Calculated total energy (eV/f.u.): -69.98
Relative energy among the computed polymorphs (meV/atom): 15.2
Total magnetization (μB per cell): 9.0

Lattice parameters (Å, degrees): 5.940 7.844 7.957 106.12 101.25 100.05
Fractional coordinates of all 33 atoms:
1 Li 0.000 0.000 0.000
2 Li 0.007 0.334 0.730
3 Li 0.157 0.639 0.006
4 Li 0.319 0.285 0.986
5 Li 0.467 0.968 0.969
6 Li 0.513 0.328 0.726
7 Li 0.656 0.646 0.996
8 Li 0.677 0.013 0.731
9 Li 0.870 0.686 0.723
10 V 0.007 0.662 0.371
11 V 0.163 0.326 0.359
12 V 0.334 0.991 0.363
13 V 0.504 0.658 0.368
14 V 0.669 0.322 0.352
15 V 0.836 0.991 0.371
16 O 0.014 0.831 0.225
17 O 0.165 0.152 0.501
18 O 0.168 0.512 0.226
19 O 0.332 0.830 0.504
20 O 0.339 0.156 0.209
21 O 0.500 0.466 0.496
22 O 0.510 0.834 0.221
23 O 0.653 0.151 0.508
24 O 0.684 0.501 0.223
25 O 0.827 0.166 0.222
26 O 0.838 0.806 0.512
27 O 0.979 0.483 0.505
28 F 0.159 0.824 0.897
29 F 0.336 0.477 0.879
30 F 0.499 0.154 0.858
31 F 0.688 0.838 0.874
32 F 0.830 0.503 0.846
33 F 0.997 0.160 0.858

> What is the calculated total energy in the first record?

-36.85 eV/f.u.

> What is the calculated total energy in the third record?

-35.34 eV/f.u.

What did the eighth record say?
Li3V2O4F2: optimized geometry, PBE with a Hubbard U.

Values from the calculation:
Formation enthalpy at 0 K (eV/atom): -2.685
Calculated total energy (eV/f.u.): -69.98
Relative energy among the computed polymorphs (meV/atom): 15.2
Total magnetization (μB per cell): 9.0

Lattice parameters (Å, degrees): 5.940 7.844 7.957 106.12 101.25 100.05
Fractional coordinates of all 33 atoms:
1 Li 0.000 0.000 0.000
2 Li 0.007 0.334 0.730
3 Li 0.157 0.639 0.006
4 Li 0.319 0.285 0.986
5 Li 0.467 0.968 0.969
6 Li 0.513 0.328 0.726
7 Li 0.656 0.646 0.996
8 Li 0.677 0.013 0.731
9 Li 0.870 0.686 0.723
10 V 0.007 0.662 0.371
11 V 0.163 0.326 0.359
12 V 0.334 0.991 0.363
13 V 0.504 0.658 0.368
14 V 0.669 0.322 0.352
15 V 0.836 0.991 0.371
16 O 0.014 0.831 0.225
17 O 0.165 0.152 0.501
18 O 0.168 0.512 0.226
19 O 0.332 0.830 0.504
20 O 0.339 0.156 0.209
21 O 0.500 0.466 0.496
22 O 0.510 0.834 0.221
23 O 0.653 0.151 0.508
24 O 0.684 0.501 0.223
25 O 0.827 0.166 0.222
26 O 0.838 0.806 0.512
27 O 0.979 0.483 0.505
28 F 0.159 0.824 0.897
29 F 0.336 0.477 0.879
30 F 0.499 0.154 0.858
31 F 0.688 0.838 0.874
32 F 0.830 0.503 0.846
33 F 0.997 0.160 0.858

> What is the formation enthalpy at 0 K in the third record?

-2.905 eV/atom